No. 1
Pr2Zn17 after structural relaxation, computed with r2SCAN.

Geometry as CIF:
```
data_Pr2Zn17
_chemical_formula_sum 'Pr4 Zn34'
_cell_length_a 8.9621
_cell_length_b 8.9622
_cell_length_c 8.7661
_cell_angle_alpha 90.00
_cell_angle_beta 90.00
_cell_angle_gamma 119.99
_symmetry_space_group_name_H-M 'P 1'
_symmetry_Int_Tables_number 1
_symmetry_space_group_name_Hall 'P 1'
loop_
_atom_site_label
_atom_site_fract_x
_atom_site_fract_y
_atom_site_fract_z
Pr1 0.0000 0.0000 0.2500
Pr2 0.0000 0.0000 0.7500
Pr3 0.3335 0.6665 0.7500
Pr4 0.6665 0.3335 0.2500
Zn1 0.1625 0.3250 0.9825
Zn2 0.8375 0.6750 0.4825
Zn3 0.6750 0.8375 0.9825
Zn4 0.1627 0.8373 0.9826
Zn5 0.8373 0.1627 0.4826
Zn6 0.3250 0.1625 0.4825
Zn7 0.8375 0.6749 0.0175
Zn8 0.8373 0.1627 0.0174
Zn9 0.3251 0.1625 0.0175
Zn10 0.6749 0.8375 0.5175
Zn11 0.1627 0.8373 0.5174
Zn12 0.1625 0.3250 0.5175
Zn13 0.3302 0.9556 0.2500
Zn14 0.6698 0.0444 0.7500
Zn15 0.0442 0.3746 0.2500
Zn16 0.6250 0.6701 0.2500
Zn17 0.3750 0.3299 0.7500
Zn18 0.9558 0.6254 0.7500
Zn19 0.3746 0.0442 0.7500
Zn20 0.6701 0.6250 0.7500
Zn21 0.9555 0.3302 0.7500
Zn22 0.0444 0.6698 0.2500
Zn23 0.3299 0.3750 0.2500
Zn24 0.6254 0.9558 0.2500
Zn25 0.5000 0.0000 0.0000
Zn26 0.5000 0.0000 0.5000
Zn27 0.0000 0.5000 0.0000
Zn28 0.5000 0.5000 0.0000
Zn29 0.5000 0.5000 0.5000
Zn30 0.0000 0.5000 0.5000
Zn31 0.3333 0.6668 0.1039
Zn32 0.6667 0.3332 0.6039
Zn33 0.6667 0.3333 0.8961
Zn34 0.3333 0.6667 0.3961
```

Calculated values
Energy of formation from the pure elements in eV/f.u.: -5.5

No. 2
PrZn11 after structural relaxation, computed with r2SCAN.

Geometry as CIF:
```
data_PrZn11
_chemical_formula_sum 'Pr2 Zn22'
_cell_length_a 6.7622
_cell_length_b 8.1680
_cell_length_c 8.1680
_cell_angle_alpha 80.13
_cell_angle_beta 65.55
_cell_angle_gamma 65.55
_symmetry_space_group_name_H-M 'P 1'
_symmetry_Int_Tables_number 1
_symmetry_space_group_name_Hall 'P 1'
loop_
_atom_site_label
_atom_site_fract_x
_atom_site_fract_y
_atom_site_fract_z
Pr1 0.3750 0.2500 0.7500
Pr2 0.6250 0.7500 0.2500
Zn1 0.7229 0.8332 0.5778
Zn2 0.0000 0.0000 0.0000
Zn3 0.1992 0.0778 0.1668
Zn4 0.1340 0.4222 0.1668
Zn5 0.1992 0.6668 0.5778
Zn6 0.8660 0.5778 0.8332
Zn7 0.1340 0.6668 0.9222
Zn8 0.1250 0.7500 0.2500
Zn9 0.8660 0.3332 0.0778
Zn10 0.8750 0.2500 0.7500
Zn11 0.5561 0.5778 0.6668
Zn12 0.5000 0.5000 0.0000
Zn13 0.2771 0.1668 0.4222
Zn14 0.8008 0.3332 0.4222
Zn15 0.7229 0.0778 0.3332
Zn16 0.4439 0.4222 0.3332
Zn17 0.5561 0.1668 0.0778
Zn18 0.2771 0.9222 0.6668
Zn19 0.8008 0.9222 0.8332
Zn20 0.4439 0.8332 0.9222
Zn21 0.0000 0.0000 0.5000
Zn22 0.0000 0.5000 0.5000
```

Calculated values
Energy of formation from the pure elements in eV/f.u.: -3.0

No. 3
Pr2Zn17 after structural relaxation, computed with r2SCAN.

Geometry as CIF:
```
data_Pr2Zn17
_chemical_formula_sum 'Pr2 Zn17'
_cell_length_a 6.7750
_cell_length_b 6.7750
_cell_length_c 6.7750
_cell_angle_alpha 82.97
_cell_angle_beta 82.97
_cell_angle_gamma 82.97
_symmetry_space_group_name_H-M 'P 1'
_symmetry_Int_Tables_number 1
_symmetry_space_group_name_Hall 'P 1'
loop_
_atom_site_label
_atom_site_fract_x
_atom_site_fract_y
_atom_site_fract_z
Pr1 0.6634 0.6634 0.6634
Pr2 0.3366 0.3366 0.3366
Zn1 0.3486 0.3486 0.8391
Zn2 0.3486 0.8391 0.3486
Zn3 0.0985 0.0985 0.0985
Zn4 0.9015 0.9015 0.9015
Zn5 0.0000 0.0000 0.5000
Zn6 0.5000 0.0000 0.0000
Zn7 0.0000 0.5000 0.0000
Zn8 0.7089 0.2911 0.0000
Zn9 0.0000 0.7089 0.2911
Zn10 0.2911 0.0000 0.7089
Zn11 0.2911 0.7089 0.0000
Zn12 0.0000 0.2911 0.7089
Zn13 0.7089 0.0000 0.2911
Zn14 0.6514 0.1609 0.6514
Zn15 0.6514 0.6514 0.1609
Zn16 0.1609 0.6514 0.6514
Zn17 0.8391 0.3486 0.3486
```

Calculated values
Energy of formation from the pure elements in eV/f.u.: -5.5

No. 4
PrZn2 after structural relaxation, computed with r2SCAN.

Geometry as CIF:
```
data_PrZn2
_chemical_formula_sum 'Pr2 Zn4'
_cell_length_a 4.6029
_cell_length_b 5.7675
_cell_length_c 5.7675
_cell_angle_alpha 80.03
_cell_angle_beta 66.48
_cell_angle_gamma 66.48
_symmetry_space_group_name_H-M 'P 1'
_symmetry_Int_Tables_number 1
_symmetry_space_group_name_Hall 'P 1'
loop_
_atom_site_label
_atom_site_fract_x
_atom_site_fract_y
_atom_site_fract_z
Pr1 0.7500 0.7073 0.7927
Pr2 0.2500 0.2927 0.2073
Zn1 0.5603 0.2752 0.6042
Zn2 0.4397 0.7248 0.3958
Zn3 0.0603 0.1042 0.7752
Zn4 0.9397 0.8958 0.2248
```

Calculated values
Energy of formation from the pure elements in eV/f.u.: -1.2

Question: Which formula does entry 4 have?
Answer: PrZn2

Question: Number 2 is which compound?
Answer: PrZn11

Copy entry 1 word for word.
Pr2Zn17 after structural relaxation, computed with r2SCAN.

Geometry as CIF:
```
data_Pr2Zn17
_chemical_formula_sum 'Pr4 Zn34'
_cell_length_a 8.9621
_cell_length_b 8.9622
_cell_length_c 8.7661
_cell_angle_alpha 90.00
_cell_angle_beta 90.00
_cell_angle_gamma 119.99
_symmetry_space_group_name_H-M 'P 1'
_symmetry_Int_Tables_number 1
_symmetry_space_group_name_Hall 'P 1'
loop_
_atom_site_label
_atom_site_fract_x
_atom_site_fract_y
_atom_site_fract_z
Pr1 0.0000 0.0000 0.2500
Pr2 0.0000 0.0000 0.7500
Pr3 0.3335 0.6665 0.7500
Pr4 0.6665 0.3335 0.2500
Zn1 0.1625 0.3250 0.9825
Zn2 0.8375 0.6750 0.4825
Zn3 0.6750 0.8375 0.9825
Zn4 0.1627 0.8373 0.9826
Zn5 0.8373 0.1627 0.4826
Zn6 0.3250 0.1625 0.4825
Zn7 0.8375 0.6749 0.0175
Zn8 0.8373 0.1627 0.0174
Zn9 0.3251 0.1625 0.0175
Zn10 0.6749 0.8375 0.5175
Zn11 0.1627 0.8373 0.5174
Zn12 0.1625 0.3250 0.5175
Zn13 0.3302 0.9556 0.2500
Zn14 0.6698 0.0444 0.7500
Zn15 0.0442 0.3746 0.2500
Zn16 0.6250 0.6701 0.2500
Zn17 0.3750 0.3299 0.7500
Zn18 0.9558 0.6254 0.7500
Zn19 0.3746 0.0442 0.7500
Zn20 0.6701 0.6250 0.7500
Zn21 0.9555 0.3302 0.7500
Zn22 0.0444 0.6698 0.2500
Zn23 0.3299 0.3750 0.2500
Zn24 0.6254 0.9558 0.2500
Zn25 0.5000 0.0000 0.0000
Zn26 0.5000 0.0000 0.5000
Zn27 0.0000 0.5000 0.0000
Zn28 0.5000 0.5000 0.0000
Zn29 0.5000 0.5000 0.5000
Zn30 0.0000 0.5000 0.5000
Zn31 0.3333 0.6668 0.1039
Zn32 0.6667 0.3332 0.6039
Zn33 0.6667 0.3333 0.8961
Zn34 0.3333 0.6667 0.3961
```

Calculated values
Energy of formation from the pure elements in eV/f.u.: -5.5